Entry 1:
# MgCr2Sb2O8

A relaxed structure of MgCr2Sb2O8 (PBE+U, the Materials Project database).

Cell and atoms, written as extended XYZ:
```
13
Lattice="-5.205 -3.214 1.655 0.410 -4.027 5.600 -2.669 0.964 5.610" Properties=species:S:1:pos:R:3 pbc="T T T"
O -1.875 -1.660 3.648
Sb -1.130 -1.532 5.605
O -4.205 -3.098 4.389
O -4.472 -5.069 6.425
Mg 0.205 -2.014 2.800
O -5.634 -2.760 7.253
Sb -3.732 -3.139 6.432
O -3.260 -3.179 8.476
O -5.589 -4.617 9.217
O -2.993 -1.209 6.440
Cr -2.398 -3.621 3.628
O -1.831 -3.517 5.612
Cr -3.937 -1.125 3.633
```

Computed properties:
Uncorrected energy ... -0.4844 Ry per atom
Polymorph energy (0 for the lowest one) ... 80 meV per atom
Spin magnetization ... 6.7 μB per formula unit
Theoretical density ... 4.51 g/cm³
Formation energy ... -2033 meV per atom
Space group ... C2/m (12)
Volume ... 184.0 Å³ per cell

Entry 2:
# SrCaMn2O6

A relaxed structure of SrCaMn2O6 (PBE+U, the Materials Project database).

Cell and atoms, written as extended XYZ:
```
20
Lattice="-5.381 0.001 0.000 -0.001 5.382 0.000 0.000 0.000 -7.761" Properties=species:S:1:pos:R:3 pbc="T T T"
O -2.691 2.691 -1.940
O -1.088 1.603 -3.796
Mn -2.691 2.691 0.000
Ca 0.000 2.691 -1.940
O -4.294 3.779 -3.796
Mn 0.000 0.000 -3.881
Ca -2.690 0.000 -5.821
O -5.381 0.001 -1.940
O -2.691 2.691 -5.821
O -4.293 1.604 -0.084
O -3.778 1.088 -3.965
O -1.604 4.294 -3.965
Sr -2.690 0.000 -1.941
O -1.603 1.088 -7.677
Sr 0.000 2.691 -5.822
O -3.779 4.294 -7.677
Mn -0.001 5.381 -7.761
O -0.001 5.382 -5.821
Mn -2.691 2.691 -3.881
O -1.088 3.779 -0.084
```

Computed properties:
Uncorrected energy ... -0.5060 Ry per atom
Polymorph energy (0 for the lowest one) ... 0 meV per atom
Spin magnetization ... 0.0 μB per formula unit
Theoretical density ... 4.93 g/cm³
Formation energy ... -2460 meV per atom
Volume ... 224.7 Å³ per cell

Entry 3:
# Ba2MnZn2As2O2

A relaxed structure of Ba2MnZn2As2O2 (PBE+U, the Materials Project database).

Cell and atoms, written as extended XYZ:
```
36
Lattice="0.746 -2.023 3.708 14.268 33.485 15.401 -3.930 1.048 1.362" Properties=species:S:1:pos:R:3 pbc="T T T"
As 10.355 27.550 15.431
Zn 5.724 11.545 7.629
O 8.736 25.638 12.232
Ba -0.945 1.030 3.233
Ba 4.895 14.737 9.537
As 13.022 30.561 14.056
O 3.940 7.360 5.704
Zn 2.157 3.174 3.779
O 5.169 17.266 8.382
Ba 2.920 6.853 3.152
Zn 6.953 21.452 10.307
O -1.965 0.524 0.681
Mn 7.134 16.743 7.700
Mn 0.000 0.000 0.000
As 8.380 19.667 9.045
As 1.246 2.924 1.345
As 0.729 4.959 5.040
Zn 3.386 13.081 6.456
O 1.602 8.895 4.531
Ba 10.054 23.596 10.852
Ba 12.030 31.480 17.238
Ba 11.348 26.632 12.249
Zn -0.181 4.710 2.606
O 11.074 24.102 13.404
O 0.373 -1.012 1.854
Zn 9.291 19.917 11.479
As 5.888 13.818 6.355
As 3.221 10.808 7.730
Ba 4.214 9.889 4.548
Zn 12.858 28.288 15.330
Mn 9.109 24.626 14.086
Ba 6.189 17.773 10.934
As 7.863 21.702 12.741
Zn 10.520 29.823 14.157
O 7.507 15.731 9.554
Mn 1.975 7.884 6.385
```

Computed properties:
Uncorrected energy ... -0.3675 Ry per atom
Spin magnetization ... 0.0 μB per formula unit
Theoretical density ... 5.87 g/cm³
Formation energy ... -1479 meV per atom
Volume ... 727.1 Å³ per cell

Entry 4:
# CrC6O6

A relaxed structure of CrC6O6 (PBE+U, the Materials Project database).

Cell and atoms, written as extended XYZ:
```
52
Lattice="6.549 0.000 0.000 0.000 11.433 0.000 0.000 0.000 12.213" Properties=species:S:1:pos:R:3 pbc="T T T"
O 3.637 1.428 3.355
C 5.521 2.858 6.269
O 2.089 2.858 9.545
O 2.071 4.274 5.752
C 0.843 10.836 3.404
C 6.317 8.575 9.440
C 4.118 0.597 2.702
O 2.071 1.443 5.752
C 3.506 8.575 3.333
C 3.043 2.858 8.880
C 2.431 6.314 9.511
O 3.637 4.289 3.355
C 1.655 0.625 0.338
O 1.997 8.575 6.586
O 1.203 4.274 11.859
Cr 0.425 2.858 10.649
C 0.231 2.858 2.773
C 2.246 8.575 12.051
O 4.552 2.858 5.627
C 4.302 2.858 0.162
C 1.655 5.092 0.338
C 1.028 8.575 5.944
C 5.705 5.120 8.808
O 0.363 7.145 2.751
C 5.705 0.597 8.808
O 5.345 9.990 0.354
C 4.118 5.120 2.702
C 0.843 6.314 3.404
C 1.619 0.625 6.445
C 4.894 10.808 11.875
O 1.278 8.575 0.480
C 4.930 10.808 5.768
O 6.186 4.289 9.462
O 1.185 2.858 3.439
O 5.363 8.575 8.774
O 5.345 7.160 0.354
O 6.186 1.428 9.462
Cr 6.124 8.575 1.564
O 0.363 10.005 2.751
O 1.203 1.443 11.859
O 4.460 8.575 2.668
C 4.894 6.342 11.875
O 2.912 7.145 8.858
O 4.478 9.990 6.461
Cr 2.849 2.858 4.543
C 1.619 5.092 6.445
C 2.431 10.836 9.511
Cr 3.700 8.575 7.670
O 5.271 2.858 11.733
O 4.478 7.160 6.461
O 2.912 10.005 8.858
C 4.930 6.342 5.768
```

Computed properties:
Uncorrected energy ... -0.5181 Ry per atom
Polymorph energy (0 for the lowest one) ... 634 meV per atom
Spin magnetization ... 0.0 μB per formula unit
Theoretical density ... 1.60 g/cm³
Formation energy ... -235 meV per atom
Space group ... Pnma (62)
Volume ... 914.4 Å³ per cell

Entry 5:
# MgMn2Co4O12

A relaxed structure of MgMn2Co4O12 (PBE+U, the Materials Project database).

Cell and atoms, written as extended XYZ:
```
19
Lattice="-3.971 -1.809 2.339 -1.916 -4.428 -1.413 6.411 -3.400 6.856" Properties=species:S:1:pos:R:3 pbc="T T T"
O 2.581 -8.081 5.547
Co -1.977 -2.182 0.266
Co 2.369 -7.588 7.326
O -2.105 -4.146 0.487
Co 0.263 -3.579 4.908
O 1.439 -4.901 4.205
O 0.929 -2.445 3.474
O -2.042 -1.639 2.301
Mn -3.971 -1.896 2.310
O -0.384 -6.836 4.595
O 2.550 -5.698 7.279
Co 0.269 -5.901 3.148
O 3.415 -2.779 3.931
O 1.034 -4.832 1.670
O -4.011 -3.879 2.395
Mg -2.529 -5.428 2.257
Mn 2.241 -3.821 2.830
O -1.122 -4.673 3.602
O 0.557 -7.845 7.471
```

Computed properties:
Uncorrected energy ... -0.4549 Ry per atom
Polymorph energy (0 for the lowest one) ... 0 meV per atom
Spin magnetization ... 10.0 μB per formula unit
Theoretical density ... 4.36 g/cm³
Formation energy ... -1473 meV per atom
Space group ... P1 (1)
Volume ... 213.9 Å³ per cell

Entry 6:
# MgMn6O9F3

A relaxed structure of MgMn6O9F3 (PBE+U, the Materials Project database).

Cell and atoms, written as extended XYZ:
```
19
Lattice="-2.314 4.157 -2.007 -3.749 -2.226 2.993 2.690 5.316 6.563" Properties=species:S:1:pos:R:3 pbc="T T T"
F -0.294 7.326 4.293
O -1.832 0.608 0.328
O -0.949 2.499 2.425
Mn -2.832 -0.387 5.181
O -1.407 3.052 7.724
Mn -1.657 3.689 3.849
O -2.328 1.443 5.528
Mn -0.748 5.522 5.892
O -2.423 4.884 5.115
F -3.121 0.257 3.144
Mn -2.589 1.820 1.588
Mn 0.381 9.395 4.605
Mg -0.268 3.935 1.219
O -4.175 1.479 0.584
O -3.282 3.103 2.970
O -0.058 4.017 4.837
Mn -1.957 1.389 7.369
O -1.887 4.193 -0.077
F -1.071 5.485 2.274
```

Computed properties:
Uncorrected energy ... -0.5039 Ry per atom
Polymorph energy (0 for the lowest one) ... 0 meV per atom
Spin magnetization ... 23.0 μB per formula unit
Theoretical density ... 3.93 g/cm³
Formation energy ... -2158 meV per atom
Space group ... P1 (1)
Volume ... 234.4 Å³ per cell

Entry 7:
# Cr3Sn3Sb2O16

A relaxed structure of Cr3Sn3Sb2O16 (PBE+U, the Materials Project database).

Cell and atoms, written as extended XYZ:
```
24
Lattice="-1.785 -5.916 -0.111 -2.887 4.150 -3.565 6.142 -1.592 -6.830" Properties=species:S:1:pos:R:3 pbc="T T T"
Cr -1.588 -2.632 -4.437
O -0.386 -2.821 -8.380
O 3.563 -5.604 -6.848
O -0.234 1.791 -5.701
O -1.150 -1.063 -5.727
O 1.643 -1.708 -6.416
O 2.377 0.879 -6.284
O -0.138 -3.212 -1.311
O 3.002 -0.652 -8.570
Sn 3.577 -0.832 -6.594
O 2.168 -3.597 -8.585
O -2.041 -3.946 -2.902
O -3.379 -1.993 -5.073
O 4.446 -2.763 -6.831
O 1.156 -0.197 -3.982
Cr -0.227 -4.639 -2.626
O 0.247 -3.301 -3.948
O 0.415 0.066 -7.941
Sn 2.151 1.215 -8.359
O -1.356 -1.402 -2.832
Sn 0.736 -1.756 -2.664
Sb -2.112 -2.605 -1.363
Cr 1.288 -1.699 -8.419
Sb 0.552 -0.050 -5.897
```

Computed properties:
Uncorrected energy ... -0.4873 Ry per atom
Polymorph energy (0 for the lowest one) ... 0 meV per atom
Spin magnetization ... 8.0 μB per formula unit
Theoretical density ... 5.43 g/cm³
Formation energy ... -1988 meV per atom
Space group ... P1 (1)
Volume ... 309.3 Å³ per cell

Entry 8:
# NaV2Bi3O10

A relaxed structure of NaV2Bi3O10 (PBE+U, the Materials Project database).

Cell and atoms, written as extended XYZ:
```
16
Lattice="-4.347 -1.809 3.113 -2.067 -3.148 -6.160 6.282 -3.040 1.938" Properties=species:S:1:pos:R:3 pbc="T T T"
O 3.168 -3.944 1.333
O -0.769 -3.130 -3.294
Bi 1.395 -4.167 -3.341
O 0.625 -4.872 2.246
Na 0.762 -5.683 -0.106
O 3.202 -5.431 -2.784
O -0.228 -2.023 1.285
O 1.163 -3.572 -1.239
O -1.390 -4.298 0.127
O -3.262 -4.074 -2.459
Bi -0.792 -2.410 -1.000
Bi -1.467 -3.888 2.253
V -2.365 -3.704 -3.846
V 2.210 -4.267 2.715
O -3.405 -2.569 1.742
O 0.093 -5.945 -2.504
```

Computed properties:
Uncorrected energy ... -0.4767 Ry per atom
Polymorph energy (0 for the lowest one) ... 0 meV per atom
Spin magnetization ... 0.0 μB per formula unit
Theoretical density ... 6.01 g/cm³
Formation energy ... -2087 meV per atom
Space group ... P1 (1)
Volume ... 251.8 Å³ per cell
Piezoelectric modulus e_max ... 0.99 C/m2

Entry 9:
# Li11Co2O8

A relaxed structure of Li11Co2O8 (PBE+U, the Materials Project database).

Cell and atoms, written as extended XYZ:
```
42
Lattice="4.601 -4.709 0.000 4.601 4.709 0.000 0.000 0.000 9.336" Properties=species:S:1:pos:R:3 pbc="T T T"
Li 4.614 -2.626 9.157
O 5.799 1.162 0.879
Li 2.496 2.357 2.561
Co 4.603 0.000 4.668
Li 4.588 -2.626 4.847
O 7.973 -1.253 6.008
Li 4.601 2.136 7.002
Co 4.601 -4.675 7.002
Li 6.546 0.012 2.321
O 5.792 1.192 5.614
Li 6.706 -2.357 7.229
Li 2.290 2.324 4.944
Li 4.601 -2.136 2.334
Li 2.496 -2.357 6.775
Li 1.982 0.000 4.668
O 3.409 1.192 8.391
O 1.228 -1.253 7.996
Li 2.655 -0.012 6.989
Li 6.911 2.324 9.060
Li 4.588 2.626 4.489
O 1.270 1.142 5.984
Co 4.599 0.000 0.000
Li 1.976 0.000 0.000
O 3.409 -1.192 0.945
O 7.973 1.253 3.328
Li 4.614 2.626 0.179
O 5.799 -1.162 8.457
Li 2.290 -2.324 4.392
Li 7.226 0.000 4.668
O 5.792 -1.192 3.723
O 3.402 1.162 3.789
Co 4.601 4.675 2.334
O 1.228 1.253 1.340
Li 6.911 -2.324 0.276
Li 2.655 0.012 2.347
Li 7.220 0.000 0.000
Li 6.706 2.357 2.107
O 7.932 1.142 8.020
Li 6.546 -0.012 7.015
O 3.402 -1.162 5.547
O 1.270 -1.142 3.352
O 7.932 -1.142 1.316
```

Computed properties:
Uncorrected energy ... -0.3719 Ry per atom
Spin magnetization ... 7.0 μB per formula unit
Theoretical density ... 2.65 g/cm³
Formation energy ... -1916 meV per atom
Space group ... C222_1 (20)
Volume ... 404.5 Å³ per cell

Entry 10:
# Li10Cr3Co2Ni3O16

A relaxed structure of Li10Cr3Co2Ni3O16 (PBE+U, the Materials Project database).

Cell and atoms, written as extended XYZ:
```
34
Lattice="5.874 0.000 0.000 2.897 5.121 0.000 0.035 0.047 9.623" Properties=species:S:1:pos:R:3 pbc="T T T"
Cr 1.442 0.980 7.565
Cr 5.859 1.869 2.749
Li 4.562 4.169 5.311
O 4.503 2.670 1.510
O 5.844 3.492 3.882
O 4.382 1.045 3.947
O 5.815 1.826 8.709
O 1.531 2.558 6.328
Li 4.080 1.058 0.530
Li 1.665 0.982 0.587
O 5.821 0.152 6.497
O 1.467 1.046 3.937
Li 2.929 3.182 0.508
Ni 7.288 4.356 2.758
Ni 4.398 4.352 2.767
O 7.186 2.688 1.485
Co 2.900 1.841 5.107
Li 5.819 2.088 5.331
O 5.831 5.003 1.509
O 4.243 2.572 6.342
O 2.885 1.774 8.696
O 5.887 0.143 1.730
Li 5.863 0.137 4.628
Li 5.763 3.541 7.535
O 2.885 0.233 6.347
Cr 4.323 0.981 7.558
Li 2.928 1.878 2.730
O 4.361 4.408 8.796
O 7.228 4.414 8.759
Li 7.076 4.191 5.340
Ni 2.864 3.499 7.574
O 2.914 3.507 4.006
Li 5.822 0.111 9.500
Co 5.816 3.500 0.307
```

Computed properties:
Uncorrected energy ... -0.4189 Ry per atom
Spin magnetization ... 18.0 μB per formula unit
Theoretical density ... 4.45 g/cm³
Formation energy ... -1849 meV per atom
Space group ... P1 (1)
Volume ... 289.5 Å³ per cell

Entry 11:
# LiNiP4O12

A relaxed structure of LiNiP4O12 (PBE+U, the Materials Project database).

Cell and atoms, written as extended XYZ:
```
72
Lattice="9.090 0.000 0.000 0.000 7.543 0.000 0.000 6.278 14.200" Properties=species:S:1:pos:R:3 pbc="T T T"
O 6.353 7.662 7.556
O 1.393 5.462 8.602
P 8.598 7.468 11.038
O 1.154 6.791 1.742
P 7.157 10.589 13.175
O 7.697 8.359 5.598
O 5.938 11.498 12.697
O 5.296 1.313 2.293
O 2.018 7.837 8.462
O 1.479 6.271 4.281
O 3.139 9.017 6.468
P 3.972 1.794 2.791
O 3.392 9.930 8.842
O 3.066 9.410 11.381
Ni 7.847 3.569 2.085
P 6.953 7.706 13.540
O 1.407 12.156 13.568
O 7.283 4.523 0.456
O 1.808 9.298 13.743
O 5.242 7.745 5.276
P 5.038 4.329 3.938
O 4.165 5.525 4.130
O 6.563 9.123 12.837
O 7.073 5.984 5.737
O 0.380 8.663 11.230
O 0.751 9.369 4.807
P 8.517 8.889 4.309
O 1.156 10.090 7.695
O 7.684 1.665 0.632
Li 5.264 7.290 1.151
O 5.044 10.758 10.447
O 5.699 3.891 5.357
O 6.025 4.412 2.819
P 0.573 4.933 9.891
O 2.737 6.159 6.643
O 3.795 12.508 11.907
O 2.527 4.698 1.362
O 8.340 4.452 9.393
O 0.498 6.202 10.853
O 7.934 3.731 6.504
O 3.848 6.076 8.923
P 6.479 7.451 6.075
O 8.393 10.884 12.376
O 7.611 7.550 9.919
P 2.408 9.254 7.759
P 4.052 9.492 10.261
O 4.047 3.063 3.753
Li 8.372 10.429 8.251
Li 0.718 3.392 5.949
O 0.697 2.937 1.823
O 7.937 7.030 12.457
O 5.701 6.870 13.604
O 8.710 5.158 2.969
O 3.129 8.292 3.470
O 3.152 2.324 1.502
O 5.961 5.529 10.730
P 2.137 6.116 0.660
O 3.389 6.951 0.595
Ni 1.243 10.252 12.115
P 0.493 6.353 3.162
P 2.612 6.370 8.125
Ni 3.302 7.113 5.015
P 1.934 3.232 1.025
O 1.416 11.431 10.569
Li 3.827 6.531 13.048
O 5.952 4.804 7.732
Ni 5.788 6.708 9.185
O 8.592 7.619 3.347
P 5.118 12.027 11.409
O 4.925 8.297 10.069
P 6.682 4.567 6.440
O 7.674 2.390 3.630
```

Computed properties:
Uncorrected energy ... -0.4901 Ry per atom
Polymorph energy (0 for the lowest one) ... 52 meV per atom
Spin magnetization ... 3.0 μB per formula unit
Theoretical density ... 2.60 g/cm³
Formation energy ... -2338 meV per atom
Space group ... P2_1/c (14)
Volume ... 973.7 Å³ per cell